# 1
DFT (meta-GGA r2SCAN) results for crystalline SmS at its relaxed geometry.

```
SmS
1.0
-3.365 -0.748 -2.036
-0.013 -2.759 -2.902
-1.937 -3.462 0.538
S Sm
1 1
Cartesian
0.000 0.000 0.000
-2.657 -3.485 -2.200
```

Output
**M_tot**: 0.00 μB/f.u.
**Formation energy**: -2.2927 eV/atom



# 2
DFT (meta-GGA r2SCAN) results for crystalline ErAgSn2 at its relaxed geometry.

```
ErAgSn2
1.0
4.605 0.000 0.000
0.000 4.605 0.000
0.000 0.000 4.343
Ag Sn Er
1 2 1
Cartesian
2.302 2.302 0.000
0.000 2.302 2.172
2.302 0.000 2.172
0.000 0.000 0.000
```

Output
**M_tot**: 0.00 μB/f.u.
**Formation energy**: -0.4146 eV/atom



# 3
DFT (meta-GGA r2SCAN) results for crystalline KI at its relaxed geometry.

```
KI
1.0
4.339 0.000 2.505
1.446 4.090 2.505
0.000 0.000 5.010
K I
1 1
Cartesian
0.000 0.000 0.000
2.892 2.045 5.010
```

Output
**M_tot**: 0.00 μB/f.u.
**Formation energy**: -1.7045 eV/atom



# 4
DFT (meta-GGA r2SCAN) results for crystalline Gd2TlZn at its relaxed geometry.

```
Gd2TlZn
1.0
-3.321 -4.059 -0.147
-3.826 -0.390 3.569
-4.996 0.748 -1.417
Zn Tl Gd
1 1 2
Cartesian
0.000 0.000 0.000
-6.071 -1.850 1.002
-3.036 -0.925 0.501
-9.107 -2.776 1.504
```

Output
**M_tot**: 15.14 μB/f.u.
**Formation energy**: -0.4010 eV/atom



# 5
DFT (meta-GGA r2SCAN) results for crystalline AuBr at its relaxed geometry.

```
AuBr
1.0
4.241 0.000 0.000
0.000 4.241 0.000
0.000 0.000 13.068
Br Au
4 4
Cartesian
1.060 1.060 8.501
3.180 3.180 4.566
1.060 1.060 1.967
3.180 3.180 11.100
0.000 2.120 6.534
2.120 0.000 6.534
2.120 2.120 0.000
0.000 0.000 0.000
```

Output
**M_tot**: 0.00 μB/f.u.
**Formation energy**: -0.1753 eV/atom



# 6
DFT (meta-GGA r2SCAN) results for crystalline TmGa3Ru at its relaxed geometry.

```
TmGa3Ru
1.0
6.334 0.000 0.000
0.000 6.334 0.000
0.000 0.000 6.334
Tm Ga Ru
3 9 3
Cartesian
3.167 3.167 0.000
3.167 0.000 3.167
0.000 3.167 3.167
1.336 1.336 4.997
4.997 4.997 1.336
4.997 1.336 4.997
1.336 4.997 1.336
4.997 4.997 4.997
1.336 1.336 1.336
4.997 1.336 1.336
3.167 3.167 3.167
1.336 4.997 4.997
0.000 0.000 3.167
0.000 3.167 0.000
3.167 0.000 0.000
```

Output
**M_tot**: 0.00 μB/f.u.
**Formation energy**: -0.6342 eV/atom



# 7
DFT (meta-GGA r2SCAN) results for crystalline TaFeB at its relaxed geometry.

```
TaFeB
1.0
2.989 -5.178 0.000
2.989 5.178 0.000
0.000 0.000 3.153
B Fe Ta
3 3 3
Cartesian
0.000 0.000 1.577
2.989 -1.726 0.000
2.989 1.726 0.000
2.267 3.927 0.000
1.445 0.000 0.000
5.256 1.251 0.000
3.530 0.000 1.577
1.225 2.121 1.577
1.225 -2.121 1.577
```

Output
**M_tot**: 0.67 μB/f.u.
**Formation energy**: -0.5133 eV/atom



# 8
DFT (meta-GGA r2SCAN) results for crystalline Cs3Sb2I9 at its relaxed geometry.

```
Cs3Sb2I9
1.0
4.240 -7.342 0.000
4.240 7.342 0.000
0.000 0.000 21.344
Cs I Sb
6 18 4
Cartesian
4.240 -2.447 9.036
4.240 2.448 19.707
4.240 -7.342 16.008
4.240 2.448 12.308
4.240 -7.342 5.336
4.240 -2.447 1.636
2.125 1.225 8.901
6.356 -1.226 12.442
2.167 -3.644 5.336
6.313 -3.644 5.336
2.125 -1.227 19.573
2.124 -1.225 12.443
4.240 4.889 8.901
6.313 3.644 16.008
2.125 1.226 1.772
2.168 3.644 16.007
6.355 -1.225 19.573
4.240 4.890 1.771
6.355 1.226 1.772
4.240 -4.889 19.573
4.240 -0.054 5.336
6.356 1.225 8.901
4.241 0.055 16.008
4.240 -4.891 12.443
4.240 2.448 3.343
4.240 2.447 7.330
4.240 -2.447 14.014
4.240 -2.447 18.001
```

Output
**Offset from the most stable computed form**: 0.000 eV/atom
**M_tot**: 0.00 μB/f.u.
**Formation energy**: -1.0351 eV/atom



# 9
DFT (meta-GGA r2SCAN) results for crystalline AcTlAu2 at its relaxed geometry.

```
AcTlAu2
1.0
0.000 3.731 3.731
3.731 0.000 3.731
3.731 3.731 0.000
Ac Au Tl
1 2 1
Cartesian
1.866 1.866 1.866
0.000 0.000 0.000
3.731 3.731 3.731
5.597 5.597 5.597
```

Output
**M_tot**: 0.00 μB/f.u.
**Formation energy**: -0.6485 eV/atom



# 10
DFT (meta-GGA r2SCAN) results for crystalline Ge3Sb4O12 at its relaxed geometry.

```
Ge3Sb4O12
1.0
1.091 0.633 9.008
-8.179 -3.539 -1.822
6.469 -5.372 -3.468
Ge O Sb
6 24 8
Cartesian
-3.026 -4.273 2.963
-5.403 -4.360 -1.335
4.911 -4.985 -1.010
0.149 -6.003 -0.362
-0.281 -1.003 6.993
1.794 -4.210 3.905
-1.531 -6.334 -0.749
-3.966 -5.301 -1.702
1.142 -1.722 6.257
0.534 -6.204 1.340
2.356 -4.173 5.569
-0.298 -0.791 2.129
-1.684 -1.850 6.362
3.031 -5.013 2.951
3.338 -5.436 -1.648
-5.305 -3.891 0.354
1.546 -2.617 3.209
0.464 -4.327 -0.777
4.753 -4.858 0.734
-2.742 -2.854 1.968
-4.452 -2.255 6.726
0.245 -5.037 3.892
-2.035 -5.572 2.320
1.383 -1.822 0.111
-2.797 -7.021 -3.609
1.131 -7.149 -1.261
-1.413 -1.783 -0.266
6.208 -4.661 3.143
-4.693 -4.825 2.944
-2.635 -3.841 4.619
1.788 -0.716 3.838
-3.880 -1.648 0.820
-2.426 -5.135 -2.995
-3.334 -1.331 5.323
-0.190 -2.549 1.145
5.023 -3.402 2.104
1.663 -3.366 -2.084
-0.500 -6.688 3.004
```

Output
**M_tot**: 0.00 μB/f.u.
**Formation energy**: -1.6190 eV/atom



# 11
DFT (meta-GGA r2SCAN) results for crystalline BaTeO3 at its relaxed geometry.

```
BaTeO3
1.0
4.461 0.000 -1.312
0.000 5.959 0.000
-0.007 0.000 7.121
Te O Ba
2 6 2
Cartesian
4.146 4.469 4.845
0.309 1.490 0.963
2.918 1.490 -0.061
3.671 3.060 3.715
3.671 5.879 3.715
1.536 4.469 5.870
0.783 0.080 2.093
0.783 2.900 2.093
1.511 1.490 4.465
2.943 4.469 1.344
```

Output
**M_tot**: 0.00 μB/f.u.
**Formation energy**: -2.0975 eV/atom



# 12
DFT (meta-GGA r2SCAN) results for crystalline UI3 at its relaxed geometry.

```
UI3
1.0
4.340 0.000 0.000
-2.170 7.333 0.000
0.000 0.000 10.098
I U
6 2
Cartesian
2.170 2.204 9.411
2.170 6.119 7.573
0.000 5.130 0.687
2.170 2.204 5.736
0.000 5.130 4.362
0.000 1.214 2.524
2.170 3.505 2.524
0.000 3.828 7.573
```

Output
**M_tot**: 3.00 μB/f.u.
**Formation energy**: -1.2832 eV/atom